## BMoN3 (PBE-GGA)

Data for BMoN3 after structural relaxation.

a = 5.675 Å, b = 7.451 Å, c = 7.922 Å
α = 96.61°, β = 108.47°, γ = 98.50°
Sites, in units of the cell vectors:
B  0.093  0.460  0.293
B  0.213  0.739  0.560
B  0.787  0.261  0.440
B  0.907  0.540  0.707
Mo  0.080  0.804  0.925
Mo  0.336  0.888  0.306
Mo  0.664  0.112  0.694
Mo  0.920  0.196  0.075
N  0.058  0.968  0.166
N  0.083  0.687  0.682
N  0.155  0.394  0.122
N  0.197  0.644  0.386
N  0.378  0.917  0.594
N  0.380  0.768  0.104
N  0.620  0.232  0.896
N  0.622  0.083  0.406
N  0.803  0.356  0.614
N  0.845  0.606  0.878
N  0.917  0.313  0.318
N  0.942  0.032  0.834

* uncorrected energy: -174.4 eV/cell
* formation enthalpy at 0 K: -429 meV per atom
* V: 15.48 Å³/atom

***

## Tm4Zn5Ge6 (PBE-GGA)

Data for Tm4Zn5Ge6 after structural relaxation.

a = 9.454 Å, b = 9.454 Å, c = 15.206 Å
α = 90.00°, β = 90.00°, γ = 154.15°
Sites, in units of the cell vectors:
Tm  0.019  0.981  0.500
Tm  0.032  0.968  0.765
Tm  0.167  0.833  0.304
Tm  0.175  0.825  0.945
Tm  0.825  0.175  0.445
Tm  0.833  0.167  0.804
Tm  0.968  0.032  0.265
Tm  0.981  0.019  0.000
Zn  0.151  0.849  0.628
Zn  0.301  0.699  0.625
Zn  0.345  0.655  0.275
Zn  0.349  0.651  0.982
Zn  0.434  0.566  0.687
Zn  0.566  0.434  0.187
Zn  0.651  0.349  0.482
Zn  0.655  0.345  0.775
Zn  0.699  0.301  0.125
Zn  0.849  0.151  0.128
Ge  0.112  0.888  0.118
Ge  0.224  0.776  0.486
Ge  0.229  0.771  0.767
Ge  0.431  0.569  0.410
Ge  0.434  0.566  0.130
Ge  0.440  0.560  0.856
Ge  0.560  0.440  0.356
Ge  0.566  0.434  0.630
Ge  0.569  0.431  0.910
Ge  0.771  0.229  0.267
Ge  0.776  0.224  0.986
Ge  0.888  0.112  0.618

* uncorrected energy: -119.5 eV/cell
* formation enthalpy at 0 K: -522 meV per atom
* V: 19.75 Å³/atom

***

## Ba3Pb5 (PBE-GGA)

Data for Ba3Pb5 after structural relaxation.

a = 7.330 Å, b = 7.330 Å, c = 11.604 Å
α = 90.00°, β = 90.00°, γ = 78.23°
Sites, in units of the cell vectors:
Ba  0.136  0.864  0.750
Ba  0.293  0.293  0.000
Ba  0.293  0.293  0.500
Ba  0.707  0.707  0.000
Ba  0.707  0.707  0.500
Ba  0.864  0.136  0.250
Pb  0.014  0.584  0.250
Pb  0.196  0.804  0.054
Pb  0.196  0.804  0.446
Pb  0.416  0.986  0.250
Pb  0.462  0.538  0.250
Pb  0.538  0.462  0.750
Pb  0.584  0.014  0.750
Pb  0.804  0.196  0.554
Pb  0.804  0.196  0.946
Pb  0.986  0.416  0.750

* uncorrected energy: -56.7 eV/cell
* formation enthalpy at 0 K: -506 meV per atom
* V: 38.14 Å³/atom

***

## Cs2KAlF6 (PBE-GGA)

Data for Cs2KAlF6 after structural relaxation.

a = 6.395 Å, b = 6.395 Å, c = 6.395 Å
α = 60.00°, β = 60.00°, γ = 60.00°
Sites, in units of the cell vectors:
Cs  0.250  0.250  0.250
Cs  0.750  0.750  0.750
K  0.000  0.000  0.000
Al  0.500  0.500  0.500
F  0.295  0.295  0.705
F  0.295  0.705  0.295
F  0.295  0.705  0.705
F  0.705  0.295  0.295
F  0.705  0.295  0.705
F  0.705  0.705  0.295

* uncorrected energy: -49.6 eV/cell
* formation enthalpy at 0 K: -3428 meV per atom
* V: 18.49 Å³/atom